Computed, not measured: crystalline MgCoAs2O7 at its relaxed geometry at the PBE with a Hubbard U level of DFT.

Formation energy   -1.930 eV/atom
Total DFT energy (no corrections)   -6.13 eV per atom

Cell: 8.6519 7.3103 9.7060 Å, 66.12 90.00 90.00°
With the nearest neighbours (Å) after each atom.
Positions (direct):
Co: 0.4460 0.8195 0.8159  5 O 1.98-2.13
Co: 0.0540 0.8195 0.3159  5 O 1.98-2.13
Co: 0.9460 0.1805 0.6841  5 O 1.98-2.13
Co: 0.5540 0.1805 0.1841  5 O 1.98-2.13
O: 0.0957 0.3471 0.7364  1 As 1.68
O: 0.2296 0.8575 0.4518  1 As 1.71
O: 0.8983 0.9531 0.8915  1 As 1.71
O: 0.1017 0.0469 0.1085  1 As 1.71
O: 0.6419 0.7498 0.0807  2 As 1.78-1.80
O: 0.2637 0.6359 0.7951  1 As 1.71
O: 0.7637 0.3641 0.7049  1 As 1.71
O: 0.7296 0.1425 0.0482  1 As 1.71
O: 0.4043 0.3471 0.2364  1 As 1.68
O: 0.9184 0.0387 0.3229  1 As 1.71
O: 0.9043 0.6529 0.2636  1 As 1.68
O: 0.3983 0.0469 0.6085  1 As 1.71
O: 0.7704 0.1425 0.5482  1 As 1.71
O: 0.4184 0.9613 0.1771  1 As 1.71
O: 0.9000 0.5363 0.8922  1 As 1.71
O: 0.2704 0.8575 0.9518  1 As 1.71
O: 0.3581 0.2502 0.9193  2 As 1.78-1.80
O: 0.2363 0.6359 0.2951  1 As 1.71
O: 0.1419 0.2502 0.4193  2 As 1.78-1.80
O: 0.5816 0.0387 0.8229  1 As 1.71
O: 0.0816 0.9613 0.6771  1 As 1.71
O: 0.6000 0.5363 0.3922  1 As 1.71
O: 0.7363 0.3641 0.2049  1 As 1.71
O: 0.1000 0.4637 0.1078  1 As 1.71
O: 0.5957 0.6529 0.7636  1 As 1.68
O: 0.8581 0.7498 0.5807  2 As 1.78-1.80
O: 0.4000 0.4637 0.6078  1 As 1.71
O: 0.6017 0.9531 0.3915  1 As 1.71
As: 0.7219 0.9840 0.9579  4 O 1.71-1.78
As: 0.2269 0.4330 0.2505  4 O 1.68-1.80
As: 0.2731 0.4330 0.7505  4 O 1.68-1.80
As: 0.7781 0.9840 0.4579  4 O 1.71-1.78
As: 0.2781 0.0160 0.0421  4 O 1.71-1.78
As: 0.7269 0.5670 0.2495  4 O 1.68-1.80
As: 0.7731 0.5670 0.7495  4 O 1.68-1.80
As: 0.2219 0.0160 0.5421  4 O 1.71-1.78
Mg: 0.0785 0.7244 0.8950  6 O 2.08-2.28
Mg: 0.4215 0.7244 0.3950  6 O 2.08-2.28
Mg: 0.9215 0.2756 0.1050  6 O 2.08-2.28
Mg: 0.5785 0.2756 0.6050  6 O 2.08-2.28


Computed, not measured: crystalline VPO7 at its relaxed geometry at the PBE with a Hubbard U level of DFT.

Formation energy   -1.457 eV/atom
Total DFT energy (no corrections)   -6.60 eV per atom

Cell: 6.8346 8.4870 10.7002 Å, 83.24 90.00 90.00°
With the nearest neighbours (Å) after each atom.
Positions (direct):
P: 0.6433 0.6740 0.0181  3 O 1.47-1.52
P: 0.8567 0.6740 0.5181  3 O 1.47-1.52
P: 0.3567 0.3260 0.9819  3 O 1.47-1.52
P: 0.1433 0.3260 0.4819  3 O 1.47-1.52
O: 0.6430 0.7467 0.8866  1 P 1.47
O: 0.3677 0.0103 0.7964  1 O 1.23
O: 0.6700 0.9673 0.0945  1 O 1.23
O: 0.3300 0.0327 0.9055  1 O 1.23
O: 0.1700 0.0327 0.4055  1 O 1.23
O: 0.8570 0.7467 0.3866  1 P 1.47
O: 0.0473 0.6422 0.5893  1 P 1.52
O: 0.8300 0.9673 0.5945  1 O 1.23
O: 0.8291 0.6140 0.0827  1 P 1.51
O: 0.6323 0.9897 0.2036  1 O 1.23
O: 0.5473 0.3578 0.9107  1 P 1.52
O: 0.1323 0.0103 0.2964  1 O 1.23
O: 0.8689 0.4691 0.7763  2 V 1.80-1.84
O: 0.8677 0.9897 0.7036  1 O 1.23
O: 0.3570 0.2533 0.1134  1 P 1.47
O: 0.6311 0.4691 0.2763  2 V 1.80-1.84
O: 0.6709 0.6140 0.5827  1 P 1.51
O: 0.3291 0.3860 0.4173  1 P 1.51
O: 0.3689 0.5309 0.7237  2 V 1.80-1.84
O: 0.3871 0.7100 0.3394  1 V 1.60
O: 0.1709 0.3860 0.9173  1 P 1.51
O: 0.4527 0.6422 0.0893  1 P 1.52
O: 0.6129 0.2900 0.6606  1 V 1.60
O: 0.8871 0.2900 0.1606  1 V 1.60
O: 0.1430 0.2533 0.6134  1 P 1.47
O: 0.9527 0.3578 0.4107  1 P 1.52
O: 0.1129 0.7100 0.8394  1 V 1.60
O: 0.1311 0.5309 0.2237  2 V 1.80-1.84
V: 0.6178 0.4473 0.7302  1 O 1.60
V: 0.1178 0.5527 0.7698  1 O 1.60
V: 0.3822 0.5527 0.2698  1 O 1.60
V: 0.8822 0.4473 0.2302  1 O 1.60


Computed, not measured: crystalline Tb2CrSbO7 at its relaxed geometry at the PBE with a Hubbard U level of DFT.

Formation energy   -3.045 eV/atom
Total DFT energy (no corrections)   -7.67 eV per atom

Cell: 7.2930 7.2930 7.2930 Å, 120.22 119.38 90.35°
With the nearest neighbours (Å) after each atom.
Positions (direct):
O: 0.8318 0.5818 0.2500  2 Sb 2.02
O: 0.8777 0.1277 0.7500  4 Tb 2.21-2.26
O: 0.4099 0.1599 0.2500  2 Cr 2.04
O: 0.1223 0.8723 0.2500  4 Tb 2.21-2.26
O: 0.4119 0.1694 0.8332  1 Sb 1.99, 1 Cr 2.04
O: 0.1639 0.8306 0.7425  1 Sb 1.99, 1 Cr 2.04
O: 0.1639 0.4213 0.3332  1 Sb 1.99, 1 Cr 2.04
O: 0.8361 0.1694 0.2575  1 Sb 1.99, 1 Cr 2.04
O: 0.5901 0.8401 0.7500  2 Cr 2.04
O: 0.5881 0.4213 0.7575  1 Sb 1.99, 1 Cr 2.04
O: 0.8361 0.5787 0.6668  1 Sb 1.99, 1 Cr 2.04
O: 0.4119 0.5787 0.2425  1 Sb 1.99, 1 Cr 2.04
O: 0.5881 0.8306 0.1668  1 Sb 1.99, 1 Cr 2.04
O: 0.1682 0.4182 0.7500  2 Sb 2.02
Sb: 0.0000 0.5000 0.5000  6 O 1.99-2.02
Sb: 0.5000 0.5000 0.0000  6 O 1.99-2.02
Tb: 0.0000 0.0000 0.0000  8 O 2.26-2.52
Tb: 0.5000 0.0000 0.5000  8 O 2.26-2.52
Tb: 0.0000 0.5000 0.0000  2 O 2.21
Tb: 0.0000 0.0000 0.5000  2 O 2.21
Cr: 0.5000 0.0000 0.0000  6 O 2.04
Cr: 0.5000 0.5000 0.5000  6 O 2.04


Computed, not measured: crystalline Li3Mn4B4O12 at its relaxed geometry at the PBE with a Hubbard U level of DFT.

Formation energy   -2.459 eV/atom
Total DFT energy (no corrections)   -7.40 eV per atom

Cell: 5.2732 8.2684 11.7958 Å, 102.03 89.95 91.05°
With the nearest neighbours (Å) after each atom.
Positions (direct):
O: 0.5872 0.3750 0.3375  1 B 1.37
O: 0.6777 0.8174 0.9846  1 B 1.42
O: 0.0819 0.8803 0.5910  1 B 1.38
O: 0.1989 0.5226 0.9256  1 B 1.41
O: 0.3223 0.1826 0.0154  1 B 1.42
O: 0.3139 0.1876 0.5136  1 B 1.41
O: 0.5758 0.3862 0.8445  1 B 1.36
O: 0.8179 0.6855 0.7579  1 B 1.41
O: 0.4242 0.6138 0.1555  1 B 1.36
O: 0.4128 0.6250 0.6625  1 B 1.37
O: 0.6861 0.8124 0.4864  1 B 1.41
O: 0.3177 0.0141 0.3251  1 B 1.39
O: 0.9152 0.1093 0.9248  1 B 1.37
O: 0.7052 0.0131 0.1674  1 B 1.40
O: 0.8011 0.4774 0.0744  1 B 1.41
O: 0.8152 0.6731 0.2579  1 B 1.39
O: 0.2114 0.5109 0.4243  1 B 1.40
O: 0.7886 0.4891 0.5757  1 B 1.40
O: 0.1821 0.3145 0.2421  1 B 1.41
O: 0.1848 0.3269 0.7421  1 B 1.39
O: 0.9181 0.1197 0.4090  1 B 1.38
O: 0.0848 0.8907 0.0752  1 B 1.37
O: 0.6823 0.9859 0.6749  1 B 1.39
O: 0.2948 0.9869 0.8326  1 B 1.40
Li: 0.3461 0.7271 0.5201  4 O 1.97-2.06
Li: 0.1580 0.7806 0.7307  4 O 1.93-2.03
Li: 0.6617 0.2732 0.9692  4 O 1.91-2.04
Li: 0.6539 0.2729 0.4799  4 O 1.97-2.06
Li: 0.8420 0.2194 0.2693  4 O 1.93-2.03
Li: 0.3383 0.7268 0.0308  4 O 1.91-2.04
Mn: 0.1687 0.4232 0.5930  5 O 2.08-2.27
Mn: 0.3166 0.0894 0.6707  5 O 2.10-2.25
Mn: 0.8219 0.5729 0.9082  4 O 2.02-2.18
Mn: 0.8313 0.5768 0.4070  5 O 2.08-2.27
Mn: 0.1781 0.4271 0.0918  4 O 2.02-2.18
Mn: 0.3174 0.0749 0.1632  5 O 2.04-2.14
Mn: 0.6834 0.9106 0.3293  5 O 2.10-2.25
Mn: 0.6826 0.9251 0.8368  5 O 2.04-2.14
B: 0.6771 0.5864 0.1639  3 O 1.36-1.41
B: 0.3314 0.4029 0.3342  3 O 1.37-1.41
B: 0.1768 0.1037 0.4161  3 O 1.38-1.41
B: 0.8232 0.8963 0.5839  3 O 1.38-1.41
B: 0.3229 0.4136 0.8361  3 O 1.36-1.41
B: 0.1718 0.0900 0.9245  3 O 1.37-1.42
B: 0.8282 0.9100 0.0755  3 O 1.37-1.42
B: 0.6686 0.5971 0.6658  3 O 1.37-1.41